Entry from Materials Project: a geometry-optimized SmBPd3 structure (GGA-PBE).

a = 4.3600 Å, b = 4.3600 Å, c = 4.3600 Å
α = 90.00°, β = 90.00°, γ = 90.00°
Sites, in units of the cell vectors:
Sm1 0.0000 0.0000 0.0000
B1 0.5000 0.5000 0.5000
Pd1 0.0000 0.5000 0.5000
Pd2 0.5000 0.5000 0.0000
Pd3 0.5000 0.0000 0.5000

- calculated density (g/cm3) = 9.6
- ΔE_f (eV/atom) = -0.585
- SG = Pm-3m (221)